# GGA+U KSmSnWO6, optimized geometry
# magnetic moment = 0.000 μB per cell
# calculated total energy = -6.820 eV/atom
# MP2020-corrected energy = -307.0 eV per cell
# energy of formation = -2427 meV/atom
data_KSmSnWO6
_chemical_formula_sum 'K4 Sm4 Sn4 W4 O24'
_cell_length_a 8.496
_cell_length_b 8.496
_cell_length_c 8.496
_cell_angle_alpha 90.00
_cell_angle_beta 90.00
_cell_angle_gamma 90.00
_symmetry_space_group_name_H-M 'F -4 3 m'
_symmetry_Int_Tables_number 216
_symmetry_space_group_name_Hall 'F -4 2 3'
loop_
_atom_site_label
_atom_site_type_symbol
_atom_site_fract_x
_atom_site_fract_y
_atom_site_fract_z
K1 K 0.000 0.000 0.000
Sm1 Sm 0.250 0.250 0.250
Sn1 Sn 0.000 0.000 0.500
W1 W 0.250 0.250 0.750
O1 O 0.020 0.250 0.750